## K2CoH2S2O8 (PBE+U)

Data for crystalline K2CoH2S2O8 at its relaxed geometry.

## Properties
**Calculated formation energy**: -1.50 eV/atom
**Density**: 2.42 g/cm³
**Total DFT energy (no corrections)**: -5.29 eV/atom

Cell and atoms, written as POSCAR:
```
K2CoH2S2O8
1.0
3.0527 2.6735 3.1504
-1.0234 6.9171 -0.0418
-9.4230 -1.3321 10.2614
K Co H S O
4 2 4 4 16
Direct
0.7159 0.0848 0.3595
0.2841 0.9152 0.6405
0.2841 0.4152 0.8595
0.7159 0.5848 0.1405
0.0000 0.0000 0.0000
0.0000 0.5000 0.5000
0.9954 0.5830 0.6035
0.0046 0.4170 0.3965
0.0046 0.9170 0.1035
0.9954 0.0830 0.8965
0.5731 0.7927 0.8985
0.4269 0.2073 0.1015
0.4269 0.7073 0.3985
0.5731 0.2927 0.6015
0.4202 0.9900 0.8440
0.5798 0.0100 0.1560
0.5798 0.5100 0.3440
0.4202 0.4900 0.6560
0.8244 0.7920 0.9530
0.1756 0.2080 0.0470
0.1756 0.7080 0.4530
0.8244 0.2920 0.5470
0.3681 0.7703 0.9740
0.6319 0.2297 0.0260
0.6319 0.7297 0.4740
0.3681 0.2703 0.5260
0.6707 0.6040 0.8377
0.3293 0.3960 0.1623
0.3293 0.8960 0.3377
0.6707 0.1040 0.6623
```